Record 1
Pu2Si4Mo3: optimized geometry, GGA-PBE.

Cell: 6.797 6.820 6.747 Å, 90.00 110.12 90.00°
Sites, in units of the cell vectors:
Pu1 0.176 0.155 0.054
Pu2 0.176 0.345 0.554
Pu3 0.824 0.655 0.446
Pu4 0.824 0.845 0.946
Si1 0.087 0.542 0.871
Si2 0.087 0.958 0.371
Si3 0.495 0.133 0.865
Si4 0.495 0.367 0.365
Si5 0.505 0.633 0.635
Si6 0.505 0.867 0.135
Si7 0.913 0.042 0.629
Si8 0.913 0.458 0.129
Mo1 0.249 0.667 0.253
Mo2 0.249 0.833 0.753
Mo3 0.500 0.000 0.500
Mo4 0.500 0.500 0.000
Mo5 0.751 0.167 0.247
Mo6 0.751 0.333 0.747

Calculated formation energy: -0.183 eV per atom
Crystal system: monoclinic
Space group: P2_1/c (14)

=====

Record 2
Rb5Mo18S19: optimized geometry, GGA-PBE.

Cell: 26.542 26.542 26.542 Å, 19.89 19.89 19.89°
Sites, in units of the cell vectors:
Rb1 0.035 0.035 0.035
Rb2 0.094 0.094 0.094
Rb3 0.152 0.152 0.152
Rb4 0.211 0.211 0.211
Rb5 0.273 0.273 0.273
Rb6 0.727 0.727 0.727
Rb7 0.789 0.789 0.789
Rb8 0.848 0.848 0.848
Rb9 0.906 0.906 0.906
Rb10 0.965 0.965 0.965
Mo1 0.166 0.499 0.362
Mo2 0.212 0.354 0.549
Mo3 0.222 0.557 0.421
Mo4 0.273 0.406 0.607
Mo5 0.278 0.612 0.481
Mo6 0.332 0.461 0.665
Mo7 0.335 0.668 0.539
Mo8 0.354 0.549 0.212
Mo9 0.362 0.166 0.499
Mo10 0.388 0.519 0.722
Mo11 0.393 0.727 0.594
Mo12 0.406 0.607 0.273
Mo13 0.421 0.222 0.557
Mo14 0.443 0.579 0.778
Mo15 0.451 0.788 0.646
Mo16 0.461 0.665 0.332
Mo17 0.481 0.278 0.612
Mo18 0.499 0.362 0.166
Mo19 0.501 0.638 0.834
Mo20 0.519 0.722 0.388
Mo21 0.539 0.335 0.668
Mo22 0.549 0.212 0.354
Mo23 0.557 0.421 0.222
Mo24 0.579 0.778 0.443
Mo25 0.594 0.393 0.727
Mo26 0.607 0.273 0.406
Mo27 0.612 0.481 0.278
Mo28 0.638 0.834 0.501
Mo29 0.646 0.451 0.788
Mo30 0.665 0.332 0.461
Mo31 0.668 0.539 0.335
Mo32 0.722 0.388 0.519
Mo33 0.727 0.594 0.393
Mo34 0.778 0.443 0.579
Mo35 0.788 0.646 0.451
Mo36 0.834 0.501 0.638
S1 0.044 0.666 0.404
S2 0.056 0.307 0.673
S3 0.094 0.719 0.474
S4 0.108 0.359 0.734
S5 0.149 0.773 0.535
S6 0.169 0.409 0.794
S7 0.206 0.831 0.591
S8 0.227 0.465 0.851
S9 0.266 0.892 0.641
S10 0.281 0.526 0.906
S11 0.307 0.673 0.056
S12 0.319 0.319 0.319
S13 0.327 0.944 0.693
S14 0.334 0.596 0.956
S15 0.359 0.734 0.108
S16 0.404 0.044 0.666
S17 0.409 0.794 0.169
S18 0.465 0.851 0.227
S19 0.474 0.094 0.719
S20 0.526 0.906 0.281
S21 0.535 0.149 0.773
S22 0.591 0.206 0.831
S23 0.596 0.956 0.334
S24 0.641 0.266 0.892
S25 0.666 0.404 0.044
S26 0.673 0.056 0.307
S27 0.681 0.681 0.681
S28 0.693 0.327 0.944
S29 0.719 0.474 0.094
S30 0.734 0.108 0.359
S31 0.773 0.535 0.149
S32 0.794 0.169 0.409
S33 0.831 0.591 0.206
S34 0.851 0.227 0.465
S35 0.892 0.641 0.266
S36 0.906 0.281 0.526
S37 0.944 0.693 0.327
S38 0.956 0.334 0.596

Calculated formation energy: -1.018 eV per atom
Crystal system: trigonal
Space group: R-3 (148)

=====

Record 3
Rb4Mo21S25: optimized geometry, GGA-PBE.

Cell: 28.572 28.572 28.572 Å, 19.13 19.13 19.13°
Sites, in units of the cell vectors:
Rb1 0.101 0.101 0.101
Rb2 0.160 0.160 0.160
Rb3 0.340 0.340 0.340
Rb4 0.399 0.399 0.399
Rb5 0.601 0.601 0.601
Rb6 0.660 0.660 0.660
Rb7 0.840 0.840 0.840
Rb8 0.899 0.899 0.899
Mo1 0.019 0.890 0.212
Mo2 0.030 0.169 0.841
Mo3 0.055 0.382 0.231
Mo4 0.085 0.250 0.415
Mo5 0.110 0.788 0.981
Mo6 0.118 0.445 0.269
Mo7 0.159 0.970 0.831
Mo8 0.169 0.841 0.030
Mo9 0.212 0.019 0.890
Mo10 0.231 0.055 0.382
Mo11 0.250 0.415 0.085
Mo12 0.269 0.118 0.445
Mo13 0.288 0.610 0.481
Mo14 0.331 0.470 0.659
Mo15 0.341 0.669 0.530
Mo16 0.382 0.231 0.055
Mo17 0.390 0.519 0.712
Mo18 0.415 0.085 0.250
Mo19 0.445 0.269 0.118
Mo20 0.470 0.659 0.331
Mo21 0.481 0.288 0.610
Mo22 0.519 0.712 0.390
Mo23 0.530 0.341 0.669
Mo24 0.555 0.731 0.882
Mo25 0.585 0.915 0.750
Mo26 0.610 0.481 0.288
Mo27 0.618 0.769 0.945
Mo28 0.659 0.331 0.470
Mo29 0.669 0.530 0.341
Mo30 0.712 0.390 0.519
Mo31 0.731 0.882 0.555
Mo32 0.750 0.585 0.915
Mo33 0.769 0.945 0.618
Mo34 0.788 0.981 0.110
Mo35 0.831 0.159 0.970
Mo36 0.841 0.030 0.169
Mo37 0.882 0.555 0.731
Mo38 0.890 0.212 0.019
Mo39 0.915 0.750 0.585
Mo40 0.945 0.618 0.769
Mo41 0.970 0.831 0.159
Mo42 0.981 0.110 0.788
S1 0.017 0.272 0.671
S2 0.030 0.709 0.437
S3 0.050 0.450 0.750
S4 0.062 0.062 0.062
S5 0.063 0.791 0.470
S6 0.074 0.320 0.719
S7 0.171 0.772 0.517
S8 0.180 0.426 0.781
S9 0.201 0.201 0.201
S10 0.209 0.530 0.937
S11 0.219 0.820 0.574
S12 0.228 0.483 0.829
S13 0.250 0.950 0.550
S14 0.272 0.671 0.017
S15 0.281 0.926 0.680
S16 0.291 0.563 0.970
S17 0.299 0.299 0.299
S18 0.320 0.719 0.074
S19 0.329 0.983 0.728
S20 0.426 0.781 0.180
S21 0.437 0.030 0.709
S22 0.438 0.438 0.438
S23 0.450 0.750 0.050
S24 0.470 0.063 0.791
S25 0.483 0.829 0.228
S26 0.517 0.171 0.772
S27 0.530 0.937 0.209
S28 0.550 0.250 0.950
S29 0.562 0.562 0.562
S30 0.563 0.970 0.291
S31 0.574 0.219 0.820
S32 0.671 0.017 0.272
S33 0.680 0.281 0.926
S34 0.701 0.701 0.701
S35 0.709 0.437 0.030
S36 0.719 0.074 0.320
S37 0.728 0.329 0.983
S38 0.750 0.050 0.450
S39 0.772 0.517 0.171
S40 0.781 0.180 0.426
S41 0.791 0.470 0.063
S42 0.799 0.799 0.799
S43 0.820 0.574 0.219
S44 0.829 0.228 0.483
S45 0.926 0.680 0.281
S46 0.937 0.209 0.530
S47 0.938 0.938 0.938
S48 0.950 0.550 0.250
S49 0.970 0.291 0.563
S50 0.983 0.728 0.329

Calculated formation energy: -1.023 eV per atom
Crystal system: trigonal
Space group: R-3c (167)

=====

Record 4
Rb2Mo15S19: optimized geometry, GGA-PBE.

Cell: 18.296 18.296 18.296 Å, 32.86 32.86 32.86°
Sites, in units of the cell vectors:
Rb1 0.143 0.143 0.143
Rb2 0.357 0.357 0.357
Rb3 0.643 0.643 0.643
Rb4 0.857 0.857 0.857
Mo1 0.008 0.118 0.811
Mo2 0.098 0.250 0.402
Mo3 0.118 0.811 0.008
Mo4 0.156 0.221 0.810
Mo5 0.189 0.992 0.882
Mo6 0.190 0.844 0.779
Mo7 0.221 0.810 0.156
Mo8 0.250 0.402 0.098
Mo9 0.279 0.344 0.690
Mo10 0.310 0.721 0.656
Mo11 0.311 0.618 0.508
Mo12 0.344 0.690 0.279
Mo13 0.382 0.492 0.689
Mo14 0.402 0.098 0.250
Mo15 0.492 0.689 0.382
Mo16 0.508 0.311 0.618
Mo17 0.598 0.902 0.750
Mo18 0.618 0.508 0.311
Mo19 0.656 0.310 0.721
Mo20 0.689 0.382 0.492
Mo21 0.690 0.279 0.344
Mo22 0.721 0.656 0.310
Mo23 0.750 0.598 0.902
Mo24 0.779 0.190 0.844
Mo25 0.810 0.156 0.221
Mo26 0.811 0.008 0.118
Mo27 0.844 0.779 0.190
Mo28 0.882 0.189 0.992
Mo29 0.902 0.750 0.598
Mo30 0.992 0.882 0.189
S1 0.023 0.477 0.750
S2 0.046 0.289 0.724
S3 0.051 0.703 0.395
S4 0.064 0.064 0.064
S5 0.105 0.797 0.449
S6 0.203 0.551 0.895
S7 0.211 0.454 0.776
S8 0.214 0.214 0.214
S9 0.224 0.789 0.546
S10 0.250 0.977 0.523
S11 0.276 0.954 0.711
S12 0.286 0.286 0.286
S13 0.289 0.724 0.046
S14 0.297 0.605 0.949
S15 0.395 0.051 0.703
S16 0.436 0.436 0.436
S17 0.449 0.105 0.797
S18 0.454 0.776 0.211
S19 0.477 0.750 0.023
S20 0.523 0.250 0.977
S21 0.546 0.224 0.789
S22 0.551 0.895 0.203
S23 0.564 0.564 0.564
S24 0.605 0.949 0.297
S25 0.703 0.395 0.051
S26 0.711 0.276 0.954
S27 0.714 0.714 0.714
S28 0.724 0.046 0.289
S29 0.750 0.023 0.477
S30 0.776 0.211 0.454
S31 0.786 0.786 0.786
S32 0.789 0.546 0.224
S33 0.797 0.449 0.105
S34 0.895 0.203 0.551
S35 0.936 0.936 0.936
S36 0.949 0.297 0.605
S37 0.954 0.711 0.276
S38 0.977 0.523 0.250

Calculated formation energy: -0.697 eV per atom
Crystal system: trigonal
Space group: R-3c (167)

=====

Record 5
Rb8Mo33S37: optimized geometry, GGA-PBE.

Cell: 9.410 9.410 46.486 Å, 95.84 95.84 59.96°
Sites, in units of the cell vectors:
Rb1 0.093 0.593 0.280
Rb2 0.126 0.626 0.379
Rb3 0.159 0.659 0.478
Rb4 0.195 0.695 0.584
Rb5 0.305 0.805 0.916
Rb6 0.341 0.841 0.022
Rb7 0.374 0.874 0.121
Rb8 0.407 0.907 0.220
Rb9 0.593 0.093 0.780
Rb10 0.626 0.126 0.879
Rb11 0.659 0.159 0.978
Rb12 0.695 0.195 0.084
Rb13 0.805 0.305 0.416
Rb14 0.841 0.341 0.522
Rb15 0.874 0.374 0.621
Rb16 0.907 0.407 0.720
Mo1 0.003 0.698 0.073
Mo2 0.029 0.334 0.024
Mo3 0.033 0.730 0.170
Mo4 0.059 0.366 0.120
Mo5 0.065 0.741 0.700
Mo6 0.084 0.916 0.750
Mo7 0.093 0.467 0.830
Mo8 0.106 0.759 0.800
Mo9 0.129 0.497 0.927
Mo10 0.134 0.305 0.880
Mo11 0.160 0.529 0.024
Mo12 0.166 0.340 0.976
Mo13 0.195 0.559 0.120
Mo14 0.198 0.371 0.073
Mo15 0.230 0.407 0.170
Mo16 0.241 0.894 0.700
Mo17 0.250 0.584 0.750
Mo18 0.259 0.935 0.800
Mo19 0.270 0.967 0.330
Mo20 0.302 0.997 0.427
Mo21 0.305 0.134 0.380
Mo22 0.334 0.029 0.524
Mo23 0.340 0.166 0.476
Mo24 0.366 0.059 0.620
Mo25 0.371 0.198 0.573
Mo26 0.394 0.565 0.700
Mo27 0.407 0.230 0.670
Mo28 0.416 0.750 0.750
Mo29 0.435 0.606 0.800
Mo30 0.441 0.805 0.380
Mo31 0.467 0.093 0.330
Mo32 0.471 0.840 0.476
Mo33 0.497 0.129 0.427
Mo34 0.503 0.871 0.573
Mo35 0.529 0.160 0.524
Mo36 0.533 0.907 0.670
Mo37 0.559 0.195 0.620
Mo38 0.565 0.394 0.200
Mo39 0.584 0.250 0.250
Mo40 0.593 0.770 0.330
Mo41 0.606 0.435 0.300
Mo42 0.629 0.802 0.427
Mo43 0.634 0.941 0.380
Mo44 0.660 0.834 0.524
Mo45 0.666 0.971 0.476
Mo46 0.695 0.866 0.620
Mo47 0.698 0.003 0.573
Mo48 0.730 0.033 0.670
Mo49 0.741 0.065 0.200
Mo50 0.750 0.416 0.250
Mo51 0.759 0.106 0.300
Mo52 0.770 0.593 0.830
Mo53 0.802 0.629 0.927
Mo54 0.805 0.441 0.880
Mo55 0.834 0.660 0.024
Mo56 0.840 0.471 0.976
Mo57 0.866 0.695 0.120
Mo58 0.871 0.503 0.073
Mo59 0.894 0.241 0.200
Mo60 0.907 0.533 0.170
Mo61 0.916 0.084 0.250
Mo62 0.935 0.259 0.300
Mo63 0.941 0.634 0.880
Mo64 0.967 0.270 0.830
Mo65 0.971 0.666 0.976
Mo66 0.997 0.302 0.927
S1 0.005 0.861 0.121
S2 0.034 0.166 0.976
S3 0.043 0.943 0.205
S4 0.054 0.250 0.250
S5 0.057 0.957 0.295
S6 0.065 0.198 0.072
S7 0.070 0.570 0.210
S8 0.097 0.230 0.166
S9 0.139 0.995 0.379
S10 0.161 0.270 0.334
S11 0.166 0.034 0.476
S12 0.191 0.302 0.428
S13 0.198 0.065 0.572
S14 0.219 0.443 0.705
S15 0.220 0.720 0.660
S16 0.224 0.334 0.524
S17 0.230 0.097 0.666
S18 0.245 0.495 0.879
S19 0.250 0.054 0.750
S20 0.255 0.361 0.621
S21 0.270 0.161 0.834
S22 0.276 0.534 0.976
S23 0.280 0.780 0.840
S24 0.281 0.457 0.795
S25 0.302 0.191 0.928
S26 0.309 0.565 0.072
S27 0.334 0.224 0.024
S28 0.339 0.597 0.166
S29 0.361 0.255 0.121
S30 0.403 0.661 0.334
S31 0.430 0.930 0.290
S32 0.435 0.691 0.428
S33 0.443 0.219 0.205
S34 0.447 0.553 0.250
S35 0.457 0.281 0.295
S36 0.466 0.724 0.524
S37 0.495 0.245 0.379
S38 0.505 0.755 0.621
S39 0.534 0.276 0.476
S40 0.543 0.719 0.705
S41 0.553 0.447 0.750
S42 0.557 0.781 0.795
S43 0.565 0.309 0.572
S44 0.570 0.070 0.710
S45 0.597 0.339 0.666
S46 0.639 0.745 0.879
S47 0.661 0.403 0.834
S48 0.666 0.776 0.976
S49 0.691 0.435 0.928
S50 0.698 0.809 0.072
S51 0.719 0.543 0.205
S52 0.720 0.220 0.160
S53 0.724 0.466 0.024
S54 0.730 0.839 0.166
S55 0.745 0.639 0.379
S56 0.750 0.946 0.250
S57 0.755 0.505 0.121
S58 0.770 0.903 0.334
S59 0.776 0.666 0.476
S60 0.780 0.280 0.340
S61 0.781 0.557 0.295
S62 0.802 0.935 0.428
S63 0.809 0.698 0.572
S64 0.834 0.966 0.524
S65 0.839 0.730 0.666
S66 0.861 0.005 0.621
S67 0.903 0.770 0.834
S68 0.930 0.430 0.790
S69 0.935 0.802 0.928
S70 0.943 0.043 0.705
S71 0.946 0.750 0.750
S72 0.957 0.057 0.795
S73 0.966 0.834 0.024
S74 0.995 0.139 0.879

Calculated formation energy: -1.026 eV per atom
Crystal system: monoclinic
Space group: C2/c (15)